68
Lattice="11.381 0.000 0.000 0.000 11.527 0.000 0.000 0.000 6.338" Properties=species:S:1:pos:R:3 comment="Ca2B5BrO9, optimized geometry, DFT PBE-GGA" sg="No. 34" formation_enthalpy_0k_mev_per_atom=-2976 density_g_cm3=2.9 pbc="T T T"
Ca 0.428 2.848 0.000
Ca 2.791 5.371 4.233
Ca 2.900 11.135 1.064
Ca 5.263 8.611 3.169
Ca 6.119 2.916 3.169
Ca 8.481 0.392 1.064
Ca 8.591 6.155 4.233
Ca 10.954 8.679 0.000
B 0.150 8.812 3.433
B 2.040 8.364 1.945
B 2.379 2.228 3.041
B 2.510 9.289 4.220
B 2.827 6.075 1.307
B 2.864 0.312 4.476
B 3.181 3.526 1.051
B 3.312 7.992 6.210
B 3.650 2.600 5.114
B 5.540 3.048 0.264
B 5.841 8.479 0.264
B 7.731 8.926 5.114
B 8.069 3.535 6.210
B 8.201 8.001 1.051
B 8.518 11.215 4.476
B 8.554 5.452 1.307
B 8.871 2.238 4.220
B 9.003 9.298 3.041
B 9.341 3.163 1.945
B 11.231 2.715 3.433
Br 0.000 0.000 0.537
Br 0.000 5.763 5.363
Br 5.691 0.000 2.194
Br 5.691 5.763 3.706
O 0.566 8.484 2.172
O 1.049 9.062 4.445
O 1.165 2.687 3.803
O 2.190 8.667 0.538
O 2.345 2.450 1.610
O 2.469 6.979 2.297
O 2.491 0.727 3.221
O 2.786 4.778 1.733
O 2.792 9.352 2.766
O 2.899 3.589 5.935
O 2.905 10.542 4.902
O 3.200 6.490 0.052
O 3.222 1.215 5.466
O 3.346 8.213 4.779
O 3.501 2.904 3.707
O 4.526 8.451 0.634
O 4.641 3.298 1.276
O 5.124 2.721 5.341
O 6.257 8.806 5.341
O 6.740 8.229 1.276
O 6.856 3.076 0.634
O 7.881 8.623 3.707
O 8.035 3.314 4.779
O 8.159 10.312 5.466
O 8.182 5.037 0.052
O 8.477 0.985 4.902
O 8.483 7.938 5.935
O 8.590 2.175 2.766
O 8.595 6.749 1.733
O 8.890 10.800 3.221
O 8.913 4.548 2.297
O 9.037 9.077 1.610
O 9.192 2.860 0.538
O 10.217 8.840 3.803
O 10.332 2.465 4.445
O 10.815 3.042 2.172